# 1
Entry from the Materials Project: a relaxed KO4F crystal (PBE).

extended XYZ file:
```
48
Lattice="-0.3590 6.2956 1.0778 -4.0754 1.5370 -10.3346 -12.0094 -1.4585 4.5190" Properties=species:S:1:pos:R:3 pbc="T T T"
K -10.2736 1.8109 -2.4789
K -6.1702 4.5631 -2.2589
K -4.4314 0.8273 1.1561
K -5.9693 5.6035 -8.2686
K -12.0123 5.5467 -5.8940
K -10.4745 0.7706 3.5307
K -12.2132 4.5064 0.1157
K -4.2306 1.8677 -4.8535
O -12.9351 0.5083 -2.6980
O -3.5087 5.8658 -2.0398
O -2.4899 2.4014 -0.4503
O -8.0421 6.3311 -6.2681
O -13.9539 3.9726 -4.2875
O -8.4017 0.0429 1.5302
O -9.4205 3.5072 -0.0593
O -7.0233 2.8668 -4.6786
O -13.7086 1.3302 -2.1902
O -2.7352 5.0439 -2.5476
O -1.6624 1.5592 -0.8214
O -8.7644 5.3276 -6.2130
O -14.7814 4.8148 -3.9165
O -7.6794 1.0464 1.4752
O -8.7522 4.5311 -0.2511
O -7.6916 1.8430 -4.4867
O -10.0550 2.1019 -6.3172
O -6.3888 4.2722 1.5793
O -7.1919 1.4950 -1.4513
O -3.2507 5.6692 -5.5356
O -9.2519 4.8791 -3.2865
O -13.1931 0.7048 0.7977
O -12.3900 3.4821 3.8284
O -4.0538 2.8920 -8.5662
O -10.8382 2.6190 -5.5084
O -5.6055 3.7551 0.7705
O -6.1254 0.8710 -1.5417
O -4.2399 4.9369 -5.6774
O -10.3184 5.5030 -3.1962
O -12.2039 1.4372 0.9396
O -11.6841 4.3212 3.2518
O -4.7597 2.0528 -7.9896
F -12.8831 0.9213 -5.5895
F -3.5607 5.4527 0.8517
F -4.5058 2.7291 -2.5391
F -6.0356 6.1681 -4.1511
F -11.9380 3.6450 -2.1988
F -10.4082 0.2059 -0.5867
F -9.4631 2.9296 2.8040
F -6.9807 3.4445 -7.5419
```


# 2
Entry from the Materials Project: a relaxed Nd17Au36 crystal (PBE).

extended XYZ file:
```
106
Lattice="16.1251 0.0000 0.0000 0.0000 16.1251 0.0000 0.0000 0.0000 9.4654" Properties=species:S:1:pos:R:3 pbc="T T T"
Nd 3.9773 8.0626 1.1085
Nd 10.8071 13.3806 3.6608
Nd 2.5607 0.0000 3.9096
Nd 0.0000 8.0626 6.6615
Nd 10.8071 2.7446 3.6608
Nd 12.0398 0.0000 8.3569
Nd 8.0626 10.6233 3.9096
Nd 13.5644 0.0000 3.9096
Nd 8.0626 12.1479 8.3569
Nd 8.0626 0.0000 2.8039
Nd 0.0000 8.0626 2.0136
Nd 0.0000 12.0398 1.1085
Nd 13.3806 10.8071 5.8046
Nd 0.0000 4.0853 1.1085
Nd 5.3180 2.7446 3.6608
Nd 5.3180 13.3806 3.6608
Nd 0.0000 0.0000 0.0000
Nd 12.1479 8.0626 1.1085
Nd 13.3806 5.3180 5.8046
Nd 8.0626 3.9773 8.3569
Nd 12.0939 12.0939 0.0000
Nd 10.6233 8.0626 5.5558
Nd 8.0626 5.5019 3.9096
Nd 2.7446 10.8071 5.8046
Nd 8.0626 8.0626 0.0000
Nd 0.0000 2.5607 5.5558
Nd 2.7446 5.3180 5.8046
Nd 12.0939 4.0313 0.0000
Nd 8.0626 0.0000 7.4518
Nd 5.5019 8.0626 5.5558
Nd 4.0313 12.0939 0.0000
Nd 4.0313 4.0313 0.0000
Nd 0.0000 13.5644 5.5558
Nd 4.0853 0.0000 8.3569
Au 1.6721 6.3905 9.1681
Au 12.8869 13.9042 5.9870
Au 6.5120 5.4538 1.1905
Au 1.5505 13.5163 8.2749
Au 4.8243 10.2835 3.4784
Au 4.9718 0.0000 2.1330
Au 0.0000 11.1533 7.3324
Au 0.0000 10.4662 4.4008
Au 8.0626 13.0344 2.1330
Au 13.5163 1.5505 1.1905
Au 5.4538 9.6131 8.2749
Au 3.2382 13.9042 5.9870
Au 5.4538 6.5120 8.2749
Au 6.5120 10.6714 1.1905
Au 1.6721 9.7347 9.1681
Au 1.4238 0.0000 6.7267
Au 0.0000 5.6589 4.4008
Au 9.6131 10.6714 1.1905
Au 10.6714 6.5120 8.2749
Au 10.6714 9.6131 8.2749
Au 14.5746 13.5163 8.2749
Au 0.0000 4.9718 7.3324
Au 14.5746 2.6088 8.2749
Au 14.7013 0.0000 6.7267
Au 2.2209 3.2382 3.4784
Au 14.4530 9.7347 9.1681
Au 2.6088 14.5746 1.1905
Au 13.9042 12.8869 3.4784
Au 11.3008 10.2835 3.4784
Au 9.6131 5.4538 1.1905
Au 11.1533 0.0000 2.1330
Au 8.0626 6.6388 6.7267
Au 3.2382 2.2209 5.9870
Au 13.5163 14.5746 1.1905
Au 4.8243 5.8417 3.4784
Au 8.0626 3.0908 2.1330
Au 9.7347 1.6721 0.2973
Au 10.2835 11.3008 5.9870
Au 6.6388 8.0626 2.7387
Au 10.2835 4.8243 5.9870
Au 1.5505 2.6088 8.2749
Au 12.8869 2.2209 5.9870
Au 5.8501 2.2124 7.0441
Au 13.0344 8.0626 7.3324
Au 14.4530 6.3905 9.1681
Au 0.0000 14.7013 2.7387
Au 9.7347 14.4530 0.2973
Au 8.0626 13.7215 5.0646
Au 5.8501 13.9127 7.0441
Au 5.6589 0.0000 5.0646
Au 5.8417 11.3008 5.9870
Au 2.4036 8.0626 4.4008
Au 9.4864 8.0626 2.7387
Au 13.9042 3.2382 3.4784
Au 8.0626 9.4864 6.7267
Au 13.7215 8.0626 4.4008
Au 2.2124 10.2750 2.4213
Au 10.4662 0.0000 5.0646
Au 10.2750 13.9127 7.0441
Au 6.3905 14.4530 0.2973
Au 2.2209 12.8869 3.4784
Au 13.9127 5.8501 2.4213
Au 3.0908 8.0626 7.3324
Au 2.6088 1.5505 1.1905
Au 10.2750 2.2124 7.0441
Au 0.0000 1.4238 2.7387
Au 2.2124 5.8501 2.4213
Au 5.8417 4.8243 5.9870
Au 13.9127 10.2750 2.4213
Au 6.3905 1.6721 0.2973
Au 8.0626 2.4036 5.0646
Au 11.3008 5.8417 3.4784
```


# 3
Entry from the Materials Project: a relaxed LiTi8O16 crystal (PBE).

energy relative to the lowest polymorph listed for this composition	0.013	eV/atom

extended XYZ file:
```
50
Lattice="-3.4135 7.0040 -0.0015 -5.0996 -3.9705 4.3518 4.9020 2.3907 7.9256" Properties=species:S:1:pos:R:3 pbc="T T T"
Li 1.3164 1.7801 4.9975
Li -6.9509 2.6574 4.0070
Ti -0.4937 1.3374 7.3145
Ti -0.8047 -1.3849 8.4328
Ti -1.3871 1.9666 4.4204
Ti -1.6415 -0.8157 5.5083
Ti 2.9788 2.5147 7.4932
Ti -1.7017 1.2745 10.7544
Ti -0.8554 6.7835 8.5692
Ti -1.1864 3.9638 9.5332
Ti -5.1116 -1.9190 5.4184
Ti -4.2477 3.5356 3.1340
Ti -4.6744 0.7584 4.2356
Ti -3.8488 6.3008 2.1578
Ti 0.4582 6.8349 5.1722
Ti -0.0670 4.1146 6.2129
Ti -5.4691 3.4562 6.5949
Ti -0.7951 4.6932 3.3231
O -0.9983 2.0955 9.0264
O -4.7528 -1.0589 3.6682
O -1.8099 -0.0388 7.3796
O -2.8023 0.6696 4.7329
O 1.1141 2.5679 6.9052
O 0.6758 -0.1173 8.1177
O -3.1345 4.1304 9.1985
O -4.1166 4.8325 6.5227
O 0.1395 3.2784 4.3520
O -0.2699 0.6135 5.4091
O 2.6165 1.6214 9.1663
O -1.2362 5.8374 10.2703
O 3.0361 4.3525 8.0829
O -0.6892 1.1903 2.7337
O -4.5040 5.4357 3.8071
O -5.0527 2.6967 4.8412
O -1.4559 -0.6297 10.1015
O -0.5720 4.8702 7.9257
O -0.1913 7.6015 6.8364
O -3.9088 4.4353 1.4888
O -4.2846 1.6722 2.5560
O -0.0500 0.1683 0.4049
O -0.9658 5.4553 5.2002
O -1.4330 2.7248 6.3141
O -5.6555 4.2345 8.4847
O -1.9436 6.1572 2.5166
O -2.3760 3.4442 3.6323
O -3.2082 -2.0740 5.7817
O 1.5171 5.3589 5.9455
O -4.5362 2.1014 7.6061
O -1.6456 3.1725 11.3274
O -5.3453 -0.0405 5.9793
```


# 4
Entry from the Materials Project: a relaxed Na2ZnCl4O3 crystal (PBE).

extended XYZ file:
```
10
Lattice="6.3313 3.7662 0.0000 -6.3313 3.7662 0.0000 0.0000 0.0158 5.1763" Properties=species:S:1:pos:R:3 pbc="T T T"
Na 2.1451 3.7650 4.3204
Na -2.1451 3.7650 4.3204
Zn 0.0000 7.5167 0.0394
Cl 0.0000 0.0264 2.9316
Cl -1.9614 1.1730 0.5140
Cl 1.9614 1.1730 0.5140
Cl 0.0000 5.2166 0.4752
O -2.9597 1.7771 3.4314
O 2.9597 1.7771 3.4314
O 0.0000 4.0112 3.4194
```


# 5
Entry from the Materials Project: a relaxed Sr3Fe2N4 crystal (PBE).

energy relative to the lowest polymorph listed for this composition	0.057	eV/atom

extended XYZ file:
```
18
Lattice="7.0678 0.0689 -0.1673 -5.3018 6.7750 0.0000 -0.2245 -0.1757 5.4965" Properties=species:S:1:pos:R:3 pbc="T T T"
Sr -3.4925 6.7213 0.2654
Sr 1.2709 4.9870 2.3156
Sr 5.0340 -0.0531 5.0638
Sr 0.2705 1.6813 3.0136
Sr -3.3306 3.9091 4.1224
Sr -2.1957 2.6902 1.3741
Fe 3.1059 1.0468 3.0488
Fe -0.3336 3.8172 5.0287
Fe -1.5645 5.6214 2.2804
Fe 1.8751 2.8510 0.3005
N -3.2920 6.2820 2.8644
N 1.4246 4.5110 5.2130
N 4.8334 0.3862 2.4648
N 0.1168 2.1572 0.1162
N 2.9257 1.7112 4.7780
N -0.9352 4.1518 3.2995
N -1.3843 4.9570 0.5512
N 2.4767 2.5164 2.0297
```


The records above yield volume values of 19.30; 23.22; 11.51; 24.69; 14.71 Å³ per atom, respectively.
The records above yield energy relative to the elements values of -0.74; -0.77; -3.38; -0.49; -0.57 eV/atom, respectively.